(w)
A plane-wave DFT calculation with PBE-GGA was carried out for a relaxed Ce3Th2O9 crystal.

POSCAR file:
```
Ce3Th2O9
1.0
-1.960 9.846 2.810
1.960 -9.846 2.810
1.960 9.846 -2.810
Ce Th O
3 2 9
direct
0.000 0.000 0.000
0.343 0.948 0.395
0.552 0.948 0.605
0.151 0.953 0.197
0.756 0.953 0.803
0.110 0.214 0.896
0.220 0.720 0.500
0.318 0.214 0.104
0.403 0.701 0.702
0.503 0.202 0.302
0.629 0.716 0.913
0.803 0.716 0.087
0.900 0.202 0.698
0.999 0.701 0.298
```

=====

(x)
A plane-wave DFT calculation with PBE-GGA was carried out for a relaxed Ce3Th2O9 crystal.

POSCAR file:
```
Ce3Th2O9
1.0
6.576 -1.964 0.000
6.576 1.964 0.000
-4.770 0.000 8.433
Ce Th O
3 2 9
direct
0.000 0.000 0.000
0.614 0.614 0.430
0.787 0.787 0.212
0.210 0.210 0.826
0.408 0.408 0.610
0.005 0.005 0.761
0.196 0.196 0.064
0.197 0.197 0.552
0.399 0.399 0.852
0.416 0.416 0.357
0.589 0.589 0.176
0.614 0.614 0.680
0.809 0.809 0.465
0.816 0.816 0.988
```

=====

The calculated energies rank the structures as follows, beginning with the most stable: (x), (w).

=====

(w)
A plane-wave DFT calculation with PBE-GGA was carried out for a relaxed Ce2UO6 crystal.

POSCAR file:
```
Ce2UO6
1.0
3.872 0.000 0.000
-1.936 3.353 0.000
0.000 0.000 9.381
Ce U O
2 1 6
direct
0.333 0.667 0.166
0.667 0.333 0.834
0.000 0.000 0.500
0.000 0.000 0.268
0.000 0.000 0.732
0.333 0.667 0.429
0.333 0.667 0.913
0.667 0.333 0.087
0.667 0.333 0.571
```

=====

(x)
A plane-wave DFT calculation with PBE-GGA was carried out for a relaxed Ce2UO6 crystal.

POSCAR file:
```
Ce2UO6
1.0
-1.936 2.733 5.738
1.936 -2.733 5.738
1.936 2.733 -5.738
Ce U O
2 1 6
direct
0.166 0.166 0.000
0.834 0.834 0.000
0.500 0.500 0.000
0.094 0.340 0.754
0.266 0.000 0.266
0.414 0.660 0.754
0.586 0.340 0.246
0.734 0.000 0.734
0.906 0.660 0.246
```

=====

The calculated energies rank the structures as follows, beginning with the most stable: (w), (x).

=====

(w)
A plane-wave DFT calculation with PBE-GGA was carried out for a relaxed Ce2Y2O7 crystal.

POSCAR file:
```
Ce2Y2O7
1.0
7.798 0.000 0.000
0.000 3.760 0.000
0.000 0.000 10.906
Ce Y O
4 4 14
direct
0.000 0.000 0.000
0.250 0.500 0.254
0.500 0.000 0.000
0.750 0.500 0.746
0.000 0.000 0.500
0.250 0.500 0.769
0.500 0.000 0.500
0.750 0.500 0.231
0.011 0.500 0.122
0.044 0.500 0.625
0.250 0.000 0.135
0.250 0.000 0.392
0.250 0.000 0.874
0.456 0.500 0.625
0.489 0.500 0.122
0.511 0.500 0.878
0.544 0.500 0.375
0.750 0.000 0.126
0.750 0.000 0.608
0.750 0.000 0.865
0.956 0.500 0.375
0.989 0.500 0.878
```

=====

(x)
A plane-wave DFT calculation with PBE-GGA was carried out for a relaxed Ce2Y2O7 crystal.

POSCAR file:
```
Ce2Y2O7
1.0
3.850 0.000 0.000
0.000 3.850 0.000
0.000 0.000 10.900
Ce Y O
2 2 7
direct
0.000 0.500 0.125
0.500 0.000 0.875
0.000 0.500 0.640
0.500 0.000 0.360
0.000 0.000 0.000
0.000 0.000 0.265
0.000 0.000 0.735
0.500 0.500 0.000
0.500 0.500 0.240
0.500 0.500 0.500
0.500 0.500 0.760
```

=====

(y)
A plane-wave DFT calculation with PBE-GGA was carried out for a relaxed Ce2Y2O7 crystal.

POSCAR file:
```
Ce2Y2O7
1.0
9.384 0.000 0.000
-3.110 8.862 0.000
-3.117 -4.423 7.707
Ce Y O
8 8 28
direct
0.000 0.000 0.000
0.002 0.753 0.254
0.227 0.000 0.742
0.251 0.741 0.992
0.264 0.504 0.259
0.730 0.977 0.224
0.766 0.490 0.762
0.768 0.268 0.026
0.002 0.252 0.770
0.033 0.525 0.507
0.259 0.230 0.482
0.483 0.228 0.225
0.498 0.493 0.021
0.500 0.740 0.739
0.508 0.005 0.477
0.746 0.775 0.498
0.002 0.745 0.002
0.006 0.257 0.017
0.015 0.515 0.257
0.234 0.986 0.985
0.243 0.262 0.731
0.245 0.235 0.235
0.251 0.750 0.240
0.252 0.499 0.012
0.258 0.480 0.517
0.266 0.992 0.510
0.279 0.784 0.744
0.491 0.984 0.224
0.493 0.716 0.971
0.496 0.224 0.980
0.505 0.780 0.517
0.519 0.500 0.272
0.524 0.278 0.507
0.726 0.695 0.724
0.730 0.998 0.977
0.735 0.231 0.762
0.740 0.502 0.993
0.748 0.752 0.247
0.774 0.032 0.491
0.776 0.269 0.284
0.980 0.740 0.502
0.990 0.003 0.756
0.993 0.486 0.723
0.998 0.011 0.260
```

=====

The calculated energies rank the structures as follows, beginning with the most stable: (y), (w), (x).

=====

(w)
A plane-wave DFT calculation with PBE-GGA was carried out for a relaxed CeZr3O8 crystal.

POSCAR file:
```
CeZr3O8
1.0
5.328 0.000 0.000
0.055 5.353 0.000
0.863 0.023 5.434
Ce Zr O
1 3 8
direct
0.000 0.000 0.000
0.544 0.502 0.088
0.546 0.918 0.575
0.991 0.425 0.504
0.207 0.306 0.152
0.213 0.150 0.636
0.320 0.657 0.436
0.357 0.788 0.929
0.714 0.231 0.814
0.718 0.212 0.327
0.800 0.709 0.279
0.819 0.706 0.762
```

=====

(x)
A plane-wave DFT calculation with PBE-GGA was carried out for a relaxed CeZr3O8 crystal.

POSCAR file:
```
CeZr3O8
1.0
3.707 0.000 0.000
0.000 3.694 5.374
0.000 -3.694 5.374
Ce Zr O
1 3 8
direct
0.000 0.000 0.000
0.000 0.496 0.496
0.500 0.503 0.992
0.500 0.992 0.503
0.000 0.103 0.586
0.000 0.362 0.841
0.000 0.586 0.103
0.000 0.841 0.362
0.500 0.152 0.152
0.500 0.404 0.404
0.500 0.650 0.650
0.500 0.886 0.886
```

=====

The calculated energies rank the structures as follows, beginning with the most stable: (w), (x).